# TbSiPd2

A relaxed TbSiPd2 crystal (meta-GGA r2SCAN, Materials Project).

Values from the calculation:
Energy relative to the elements in eV per atom: -1.015
Density in g/cm3: 9.436

a = 5.539 Å, b = 6.926 Å, c = 7.337 Å
α = 90.00°, β = 90.00°, γ = 90.00°
Sites, in units of the cell vectors:
Tb  0.143  0.750  0.529
Tb  0.857  0.250  0.471
Tb  0.643  0.250  0.971
Tb  0.357  0.750  0.029
Si  0.857  0.750  0.877
Si  0.143  0.250  0.123
Si  0.357  0.250  0.623
Si  0.643  0.750  0.377
Pd  0.593  0.552  0.677
Pd  0.407  0.448  0.323
Pd  0.093  0.448  0.823
Pd  0.407  0.052  0.323
Pd  0.907  0.552  0.177
Pd  0.593  0.948  0.677
Pd  0.907  0.948  0.177
Pd  0.093  0.052  0.823